[1]
Density functional theory data (PBE+U) for an optimized crystal structure of CaCr2O4.

Properties
crystal system: trigonal

Lattice parameters (Å, degrees): 6.2053 6.2053 15.5805 90.00 90.00 120.00
Space group P3m1 (No. 156)
Inequivalent atoms, fractional coordinates:
Ca 0.0000 0.0000 0.0000
Ca 0.0000 0.0000 0.2423
Ca 0.0000 0.0000 0.6227
Ca 0.3333 0.6667 0.5765
Ca 0.6667 0.3333 0.2818
Ca 0.6667 0.3333 0.9104
Cr 0.1708 0.3417 0.7920
Cr 0.3272 0.1636 0.4545
Cr 0.3333 0.6667 0.3376
Cr 0.3333 0.6667 0.9563
Cr 0.5003 0.0005 0.1169
Cr 0.6667 0.3333 0.6726
O 0.0000 0.0000 0.3879
O 0.0000 0.0000 0.8518
O 0.0521 0.5260 0.8659
O 0.1487 0.2975 0.5221
O 0.1934 0.3868 0.0405
O 0.3333 0.6667 0.1958
O 0.3333 0.6667 0.7250
O 0.3346 0.1673 0.7199
O 0.3618 0.1809 0.1819
O 0.5031 0.0062 0.3821
O 0.6667 0.3333 0.0503
O 0.6667 0.3333 0.5281



[2]
Density functional theory data (PBE+U) for an optimized crystal structure of CaCr3O7.

Properties
crystal system: orthorhombic

Lattice parameters (Å, degrees): 10.764 10.512 5.389 90.00 90.00 90.00
Space group Pnma (No. 62)
Inequivalent atoms, fractional coordinates:
Ca 0.070 0.250 0.181
Cr 0.197 0.520 0.696
Cr 0.223 0.750 0.190
O 0.052 0.577 0.720
O 0.065 0.750 0.163
O 0.217 0.120 0.456
O 0.223 0.117 0.934



The following formation enthalpy at 0 K values (in eV per atom) correspond, in order, to the records above: -2.58 -2.16.
The following calculated volume values (in Å³ per cell) correspond, in order, to the records above: 520 610.
The following total magnetic moment values (in μB/f.u.) correspond, in order, to the records above: 6.00 6.00.